No. 1
The following is a DFT calculation (GGA-PBE) of a relaxed structure of BaAl2O6.

The structure in POSCAR format:
```
BaAl2O6
1.0
7.569 0.000 0.000
0.000 11.397 0.000
0.000 0.000 13.018
Ba Al O
8 16 48
direct
0.087 0.138 0.154
0.087 0.362 0.654
0.413 0.638 0.154
0.413 0.862 0.654
0.587 0.138 0.346
0.587 0.362 0.846
0.913 0.638 0.346
0.913 0.862 0.846
0.149 0.111 0.472
0.149 0.389 0.972
0.202 0.624 0.888
0.202 0.876 0.388
0.298 0.124 0.888
0.298 0.376 0.388
0.351 0.611 0.472
0.351 0.889 0.972
0.649 0.111 0.028
0.649 0.389 0.528
0.702 0.624 0.612
0.702 0.876 0.112
0.798 0.124 0.612
0.798 0.376 0.112
0.851 0.611 0.028
0.851 0.889 0.528
0.001 0.585 0.135
0.001 0.915 0.635
0.032 0.109 0.589
0.032 0.391 0.089
0.196 0.008 0.970
0.196 0.492 0.470
0.222 0.731 0.786
0.222 0.769 0.286
0.244 0.250 0.467
0.244 0.250 0.967
0.247 0.507 0.306
0.247 0.993 0.806
0.253 0.007 0.306
0.253 0.493 0.806
0.256 0.750 0.467
0.256 0.750 0.967
0.278 0.231 0.786
0.278 0.269 0.286
0.304 0.508 0.970
0.304 0.992 0.470
0.468 0.609 0.589
0.468 0.891 0.089
0.499 0.085 0.135
0.499 0.415 0.635
0.501 0.585 0.365
0.501 0.915 0.865
0.532 0.109 0.911
0.532 0.391 0.411
0.696 0.008 0.530
0.696 0.492 0.030
0.722 0.731 0.714
0.722 0.769 0.214
0.744 0.250 0.033
0.744 0.250 0.533
0.747 0.507 0.194
0.747 0.993 0.694
0.753 0.007 0.194
0.753 0.493 0.694
0.756 0.750 0.033
0.756 0.750 0.533
0.778 0.231 0.714
0.778 0.269 0.214
0.804 0.508 0.530
0.804 0.992 0.030
0.968 0.609 0.911
0.968 0.891 0.411
0.999 0.085 0.365
0.999 0.415 0.865
```

Summary:
Magnetic moment: 2.8 μB/f.u.
Calculated formation energy: -2.33 eV/atom
Space-group type: No. 61
Offset from the most stable computed form: 0.000 eV per formula unit
VASP energy: -447.69 eV/cell

No. 2
The following is a DFT calculation (GGA-PBE) of a relaxed structure of Ba4Al2O7.

The structure in POSCAR format:
```
Ba4Al2O7
1.0
5.708 -5.941 0.000
5.708 5.941 0.000
0.000 0.000 27.583
Ba Al O
32 16 56
direct
0.001 0.999 0.931
0.006 0.994 0.604
0.026 0.974 0.749
0.029 0.533 0.589
0.030 0.470 0.750
0.033 0.529 0.089
0.201 0.201 0.500
0.244 0.756 0.332
0.256 0.744 0.832
0.299 0.299 0.000
0.467 0.971 0.589
0.470 0.030 0.250
0.471 0.967 0.089
0.474 0.526 0.249
0.494 0.506 0.104
0.499 0.501 0.431
0.501 0.499 0.569
0.506 0.494 0.896
0.526 0.474 0.751
0.529 0.033 0.911
0.530 0.970 0.750
0.533 0.029 0.411
0.701 0.701 0.000
0.744 0.256 0.168
0.756 0.244 0.668
0.799 0.799 0.500
0.967 0.471 0.911
0.970 0.530 0.250
0.971 0.467 0.411
0.974 0.026 0.251
0.994 0.006 0.396
0.999 0.001 0.069
0.194 0.806 0.174
0.233 0.234 0.159
0.234 0.233 0.841
0.237 0.763 0.991
0.263 0.737 0.491
0.266 0.267 0.341
0.267 0.266 0.659
0.306 0.694 0.674
0.694 0.306 0.326
0.733 0.734 0.341
0.734 0.733 0.659
0.737 0.263 0.509
0.763 0.237 0.009
0.766 0.767 0.159
0.767 0.766 0.841
0.806 0.194 0.826
0.019 0.230 0.831
0.026 0.727 0.009
0.054 0.317 0.182
0.078 0.196 0.683
0.127 0.873 0.519
0.183 0.446 0.318
0.196 0.078 0.317
0.216 0.784 0.624
0.227 0.526 0.509
0.230 0.019 0.169
0.233 0.258 0.406
0.242 0.267 0.094
0.248 0.752 0.734
0.248 0.752 0.926
0.252 0.748 0.234
0.252 0.748 0.426
0.258 0.233 0.594
0.267 0.242 0.906
0.270 0.481 0.669
0.273 0.974 0.009
0.284 0.716 0.124
0.304 0.422 0.817
0.317 0.054 0.818
0.373 0.627 0.019
0.422 0.304 0.183
0.446 0.183 0.682
0.474 0.773 0.509
0.481 0.270 0.331
0.519 0.730 0.669
0.526 0.227 0.491
0.554 0.817 0.318
0.578 0.696 0.817
0.627 0.373 0.981
0.683 0.946 0.182
0.696 0.578 0.183
0.716 0.284 0.876
0.727 0.026 0.991
0.730 0.519 0.331
0.733 0.758 0.094
0.742 0.767 0.406
0.748 0.252 0.574
0.748 0.252 0.766
0.752 0.248 0.074
0.752 0.248 0.266
0.758 0.733 0.906
0.767 0.742 0.594
0.770 0.981 0.831
0.773 0.474 0.491
0.784 0.216 0.376
0.804 0.922 0.683
0.817 0.554 0.682
0.873 0.127 0.481
0.922 0.804 0.317
0.946 0.683 0.818
0.974 0.273 0.991
0.981 0.770 0.169
```

Summary:
Magnetic moment: 0.0 μB/f.u.
Calculated formation energy: -3.19 eV/atom
Space-group type: No. 64
VASP energy: -691.35 eV/cell